Record 1
Entry from the Materials Project database: a relaxed Y6O5F8 crystal (PBE).

```
Y6O5F8
1.0
5.5168 0.0000 0.0000
0.0734 5.5773 0.0000
0.2337 2.2686 8.4225
Y O F
6 5 8
direct
0.2147 0.9329 0.6528 Y
0.1925 0.5814 0.3390 Y
0.7921 0.7304 0.0028 Y
0.2185 0.1999 0.0227 Y
0.7819 0.3979 0.6865 Y
0.7859 0.0928 0.3453 Y
0.9704 0.7385 0.5181 O
0.9758 0.9087 0.1791 O
0.9864 0.4186 0.1664 O
0.9823 0.0530 0.8421 O
0.0113 0.2485 0.5052 O
0.4423 0.1538 0.7898 F
0.4407 0.8659 0.4327 F
0.4471 0.8324 0.1110 F
0.4433 0.3014 0.2250 F
0.5814 0.7411 0.7390 F
0.0828 0.5599 0.8378 F
0.6354 0.3718 0.9589 F
0.5231 0.3626 0.4951 F
```

- polymorph energy (0 for the lowest one) (kJ/mol of atoms) = 3.8
- size of the total moment (μB per atom) = 0.000
- formation enthalpy at 0 K (eV per formula unit) = -80.38
- E (eV/f.u.) = -152.1



Record 2
Entry from the Materials Project database: a relaxed Y2OF crystal (PBE).

```
Y2OF
1.0
-0.6894 -3.5169 1.0128
1.7929 0.5739 3.2133
-7.3162 2.4821 3.6389
Y O F
2 1 1
direct
0.5000 0.5000 0.2623 Y
0.5000 0.5000 0.7377 Y
0.5000 0.5000 0.5000 O
0.5000 0.5000 0.0000 F
```

- size of the total moment (μB per atom) = 0.224
- formation enthalpy at 0 K (eV per formula unit) = -9.25
- E (eV/f.u.) = -27.9



Record 3
Entry from the Materials Project database: a relaxed Y5O4F7 crystal (PBE).

```
Y5O4F7
1.0
-4.8364 8.6731 -1.3690
-4.6826 -1.6563 6.0499
5.4600 3.4176 2.3626
Y O F
10 8 14
direct
0.2037 0.2207 0.0210 Y
0.1605 0.6711 0.9393 Y
0.7248 0.3673 0.5646 Y
0.3471 0.2968 0.5149 Y
0.4780 0.9505 0.0733 Y
0.6529 0.7968 0.5149 Y
0.5220 0.4505 0.0733 Y
0.2752 0.8673 0.5646 Y
0.8395 0.1711 0.9393 Y
0.7963 0.7207 0.0210 Y
0.4065 0.0002 0.4061 O
0.3121 0.4540 0.9281 O
0.4134 0.2391 0.1701 O
0.2674 0.9216 0.9241 O
0.7326 0.4216 0.9241 O
0.5866 0.7391 0.1701 O
0.5935 0.5002 0.4061 O
0.6879 0.9540 0.9281 O
0.1612 0.2490 0.3423 F
0.9877 0.8598 0.0776 F
0.0178 0.0258 0.8030 F
0.8076 0.2174 0.2697 F
0.7864 0.6494 0.6714 F
0.7554 0.0868 0.5995 F
0.5317 0.3006 0.6953 F
0.4683 0.8006 0.6953 F
0.2446 0.5868 0.5995 F
0.1924 0.7174 0.2697 F
0.2136 0.1494 0.6714 F
0.0123 0.3598 0.0776 F
0.9822 0.5258 0.8030 F
0.8388 0.7490 0.3423 F
```

- polymorph energy (0 for the lowest one) (kJ/mol of atoms) = 18.2
- size of the total moment (μB per atom) = 0.000
- formation enthalpy at 0 K (eV per formula unit) = -65.41
- E (eV/f.u.) = -125.0



Record 4
Entry from the Materials Project database: a relaxed Y7O6F9 crystal (PBE).

```
Y7O6F9
1.0
-0.9296 -19.2168 -4.3344
1.0658 -19.6725 0.8916
-5.1427 -0.1973 1.9464
Y O F
14 12 18
direct
0.6740 0.1136 0.2989 Y
0.8864 0.3260 0.7011 Y
0.1694 0.6186 0.7018 Y
0.3814 0.8306 0.2982 Y
0.5433 0.1037 0.7078 Y
0.8963 0.4567 0.2922 Y
0.0688 0.5784 0.2886 Y
0.4216 0.9312 0.7114 Y
0.5453 0.9559 0.2770 Y
0.0441 0.4547 0.7230 Y
0.7060 0.2234 0.7071 Y
0.7766 0.2940 0.2929 Y
0.2070 0.7224 0.2925 Y
0.2776 0.7930 0.7075 Y
0.4488 0.4076 0.4788 O
0.5924 0.5512 0.5212 O
0.9480 0.9081 0.5209 O
0.0919 0.0520 0.4791 O
0.9793 0.0207 0.5000 O
0.4791 0.5209 0.5000 O
0.3559 0.3577 0.4698 O
0.6423 0.6441 0.5302 O
0.8537 0.8559 0.5292 O
0.1441 0.1463 0.4708 O
0.2995 0.2683 0.4641 O
0.7317 0.7005 0.5359 O
0.8498 0.0208 0.0346 F
0.9792 0.1502 0.9654 F
0.3493 0.5214 0.9643 F
0.4786 0.6507 0.0357 F
0.4867 0.2521 0.9460 F
0.7479 0.5133 0.0540 F
0.9927 0.7474 0.0570 F
0.2526 0.0073 0.9430 F
0.6825 0.9286 0.0900 F
0.0714 0.3175 0.9100 F
0.1734 0.4397 0.9098 F
0.5603 0.8266 0.0902 F
0.4128 0.0852 0.8926 F
0.9148 0.5872 0.1074 F
0.8018 0.7697 0.5482 F
0.2303 0.1982 0.4518 F
0.5824 0.4176 0.0000 F
0.0832 0.9168 0.0000 F
```

- polymorph energy (0 for the lowest one) (kJ/mol of atoms) = 0.0
- size of the total moment (μB per atom) = 0.000
- formation enthalpy at 0 K (eV per formula unit) = -93.80
- E (eV/f.u.) = -177.7



Repeat the first record exactly.
Entry from the Materials Project database: a relaxed Y6O5F8 crystal (PBE).

```
Y6O5F8
1.0
5.5168 0.0000 0.0000
0.0734 5.5773 0.0000
0.2337 2.2686 8.4225
Y O F
6 5 8
direct
0.2147 0.9329 0.6528 Y
0.1925 0.5814 0.3390 Y
0.7921 0.7304 0.0028 Y
0.2185 0.1999 0.0227 Y
0.7819 0.3979 0.6865 Y
0.7859 0.0928 0.3453 Y
0.9704 0.7385 0.5181 O
0.9758 0.9087 0.1791 O
0.9864 0.4186 0.1664 O
0.9823 0.0530 0.8421 O
0.0113 0.2485 0.5052 O
0.4423 0.1538 0.7898 F
0.4407 0.8659 0.4327 F
0.4471 0.8324 0.1110 F
0.4433 0.3014 0.2250 F
0.5814 0.7411 0.7390 F
0.0828 0.5599 0.8378 F
0.6354 0.3718 0.9589 F
0.5231 0.3626 0.4951 F
```

- polymorph energy (0 for the lowest one) (kJ/mol of atoms) = 3.8
- size of the total moment (μB per atom) = 0.000
- formation enthalpy at 0 K (eV per formula unit) = -80.38
- E (eV/f.u.) = -152.1



Among the records above, which one has the lowest formation enthalpy at 0 K? Y7O6F9



formation enthalpy at 0 K of number 2 (Y2OF)? -9.25 eV per formula unit



What is the formula in the first record? Y6O5F8